DFT (r2SCAN) results for crystalline TbSmHg2 at its relaxed geometry.

Summary:
The value obtained for the electronic total energy is -162.0 eV per formula unit. The energy relative to the elements is -2.3 eV/f.u. Its volume is 26.2 A^3/atom.

Cell lengths 7.4874, 7.4874, 7.4874 Å; angles 90.00, 90.00, 90.00 degrees
Closest atoms and distances in Å follow each position.
Positions (direct):
Tb  0.0000  0.0000  0.0000  8 Hg 3.24
Tb  0.0000  0.5000  0.5000  8 Hg 3.24
Tb  0.5000  0.0000  0.5000  8 Hg 3.24
Tb  0.5000  0.5000  0.0000  8 Hg 3.24
Sm  0.0000  0.0000  0.5000  8 Hg 3.24
Sm  0.0000  0.5000  0.0000  8 Hg 3.24
Sm  0.5000  0.0000  0.0000  8 Hg 3.24
Sm  0.5000  0.5000  0.5000  8 Hg 3.24
Hg  0.2500  0.2500  0.2500  4 Tb 3.24, 4 Sm 3.24
Hg  0.2500  0.2500  0.7500  4 Tb 3.24, 4 Sm 3.24
Hg  0.2500  0.7500  0.2500  4 Tb 3.24, 4 Sm 3.24
Hg  0.2500  0.7500  0.7500  4 Tb 3.24, 4 Sm 3.24
Hg  0.7500  0.2500  0.2500  4 Tb 3.24, 4 Sm 3.24
Hg  0.7500  0.2500  0.7500  4 Tb 3.24, 4 Sm 3.24
Hg  0.7500  0.7500  0.2500  4 Tb 3.24, 4 Sm 3.24
Hg  0.7500  0.7500  0.7500  4 Tb 3.24, 4 Sm 3.24